Record 1
First-principles (PBE) data for a relaxed structure of LaSi2Ru, as listed in the Materials Project database.

abc: 4.1122 4.5649 8.4150
angles: 77.67 90.00 90.00
Closest atoms and distances in Å follow each position.
Atoms (fractional coordinates):
Si  0.2500  0.5377  0.9090  1 Ru 2.45, 2 Si 2.54
Si  0.7500  0.8309  0.4916  4 Ru 2.40-2.46, 2 Si 2.59
Si  0.7500  0.4623  0.0910  1 Ru 2.45, 2 Si 2.54
Si  0.2500  0.1691  0.5084  4 Ru 2.40-2.46, 2 Si 2.59
La  0.7500  0.0877  0.7994  9 Si 3.06-3.34, 3 Ru 3.32-3.43
La  0.2500  0.9123  0.2006  9 Si 3.06-3.34, 3 Ru 3.32-3.43
Ru  0.7500  0.3786  0.3888  5 Si 2.40-2.46
Ru  0.2500  0.6214  0.6112  5 Si 2.40-2.46

Record 2
First-principles (PBE) data for a relaxed structure of TmCu2Ge2, as listed in the Materials Project database.

abc: 5.9064 5.9064 5.9064
angles: 140.28 140.28 57.44
Closest atoms and distances in Å follow each position.
Atoms (fractional coordinates):
Ge  0.6179  0.6179  0.0000  4 Cu 2.43, 1 Ge 2.44
Ge  0.3821  0.3821  0.0000  4 Cu 2.43, 1 Ge 2.44
Cu  0.2500  0.7500  0.5000  4 Ge 2.43
Cu  0.7500  0.2500  0.5000  4 Ge 2.43
Tm  0.0000  0.0000  0.0000  8 Ge 3.09, 8 Cu 3.28

Record 3
First-principles (PBE) data for a relaxed structure of Er2CrGe4, as listed in the Materials Project database.

abc: 4.2884 4.3153 7.9417
angles: 74.24 90.00 90.00
Closest atoms and distances in Å follow each position.
Atoms (fractional coordinates):
Er  0.2500  0.5986  0.8028  1 Cr 2.97, 10 Ge 3.08-3.16
Er  0.7500  0.3966  0.2067  10 Ge 3.14-3.28, 4 Cr 3.43
Ge  0.2500  0.9475  0.1050  1 Cr 2.37
Ge  0.7500  0.7472  0.5057  2 Cr 2.25
Ge  0.7500  0.0582  0.8836  2 Ge 2.73
Ge  0.2500  0.2420  0.5161  2 Cr 2.29
Cr  0.2500  0.7927  0.4145  5 Ge 2.25-2.37

Record 4
First-principles (PBE) data for a relaxed structure of Mg4SiSn, as listed in the Materials Project database.

abc: 8.0474 8.0474 8.0474
angles: 33.72 33.72 33.72
Closest atoms and distances in Å follow each position.
Atoms (fractional coordinates):
Mg  0.6216  0.6216  0.6216  1 Si 2.77, 3 Sn 2.88
Mg  0.3784  0.3784  0.3784  1 Si 2.77, 3 Sn 2.88
Mg  0.1281  0.1281  0.1281  3 Si 2.83, 1 Sn 2.91
Mg  0.8719  0.8719  0.8719  3 Si 2.83, 1 Sn 2.91
Si  0.5000  0.5000  0.5000  8 Mg 2.77-2.83
Sn  0.0000  0.0000  0.0000  8 Mg 2.88-2.91

Record 5
First-principles (PBE) data for a relaxed structure of VS2N3Cl2, as listed in the Materials Project database.

abc: 5.7960 7.6597 8.1270
angles: 90.13 98.15 107.59
Closest atoms and distances in Å follow each position.
Atoms (fractional coordinates):
Cl  0.6578  0.1932  0.0617  2 V 2.44-2.53
Cl  0.3422  0.8068  0.9383  2 V 2.44-2.53
Cl  0.7399  0.7314  0.7324  1 V 2.26
Cl  0.2601  0.2686  0.2676  1 V 2.26
S  0.7724  0.2685  0.5816  2 N 1.59-1.60
S  0.2207  0.3000  0.8011  2 N 1.59
S  0.7793  0.7000  0.1989  2 N 1.59
S  0.2276  0.7315  0.4184  2 N 1.59-1.60
N  0.0583  0.3578  0.6499  2 S 1.59-1.60
N  0.9417  0.6422  0.3501  2 S 1.59-1.60
N  0.0728  0.1279  0.8935  1 S 1.59
N  0.3449  0.8962  0.3079  1 S 1.59, 1 V 1.74
N  0.9272  0.8721  0.1065  1 S 1.59
N  0.6551  0.1038  0.6921  1 S 1.59, 1 V 1.74
V  0.7512  0.9946  0.8633  2 N 1.74-1.82
V  0.2488  0.0054  0.1367  2 N 1.74-1.82

Record 6
First-principles (PBE) data for a relaxed structure of CdPb3, as listed in the Materials Project database.

abc: 6.2404 6.2404 6.2404
angles: 134.69 134.69 66.01
Closest atoms and distances in Å follow each position.
Atoms (fractional coordinates):
Cd  0.0000  0.0000  0.0000  12 Pb 3.40-3.55
Pb  0.2500  0.7500  0.5000  8 Pb 3.40-3.55, 4 Cd 3.55
Pb  0.5000  0.5000  0.0000  4 Cd 3.40, 8 Pb 3.55
Pb  0.7500  0.2500  0.5000  8 Pb 3.40-3.55, 4 Cd 3.55

Record 7
First-principles (PBE) data for a relaxed structure of PaV, as listed in the Materials Project database.

abc: 3.0612 3.0612 4.6991
angles: 90.00 90.00 119.51
Closest atoms and distances in Å follow each position.
Atoms (fractional coordinates):
V  0.3326  0.6674  0.0000  6 Pa 2.93-2.97, 6 V 3.06-3.08
Pa  0.6749  0.3251  0.5000  6 V 2.93-2.97, 6 Pa 3.06-3.08

Record 8
First-principles (PBE) data for a relaxed structure of Ca2Mg, as listed in the Materials Project database.

abc: 7.2437 7.2437 8.3313
angles: 74.59 74.59 30.26
Closest atoms and distances in Å follow each position.
Atoms (fractional coordinates):
Mg  0.6563  0.6563  0.4661  4 Mg 3.40-3.78, 7 Ca 3.41-3.54
Mg  0.3437  0.3437  0.5339  4 Mg 3.40-3.78, 7 Ca 3.41-3.54
Ca  0.0258  0.0258  0.2426  4 Mg 3.50-3.54, 7 Ca 3.78-3.90
Ca  0.6906  0.6906  0.8560  3 Mg 3.41-3.49, 4 Ca 3.78
Ca  0.3094  0.3094  0.1440  3 Mg 3.41-3.49, 4 Ca 3.78
Ca  0.9742  0.9742  0.7574  4 Mg 3.50-3.54, 7 Ca 3.78-3.90

Record 9
First-principles (PBE) data for a relaxed structure of BiIO, as listed in the Materials Project database.

abc: 4.0283 4.0283 9.7593
angles: 90.00 90.00 90.00
Closest atoms and distances in Å follow each position.
Atoms (fractional coordinates):
I  0.5000  0.0000  0.6812  4 Bi 3.41, 4 O 3.71
I  0.0000  0.5000  0.3188  4 Bi 3.41, 4 O 3.71
Bi  0.0000  0.5000  0.8732  4 O 2.36
Bi  0.5000  0.0000  0.1268  4 O 2.36
O  0.5000  0.5000  0.0000  4 Bi 2.36
O  0.0000  0.0000  0.0000  4 Bi 2.36

Record 10
First-principles (PBE) data for a relaxed structure of MnNi2N2, as listed in the Materials Project database.

abc: 2.7438 2.7437 6.7909
angles: 90.01 90.00 119.98
Closest atoms and distances in Å follow each position.
Atoms (fractional coordinates):
N  0.3333  0.6667  0.3198  3 Ni 1.95, 3 Mn 2.00
N  0.6667  0.3333  0.6802  3 Ni 1.95, 3 Mn 2.00
Ni  0.6667  0.3333  0.1519  3 N 1.95
Ni  0.3333  0.6667  0.8481  3 N 1.95
Mn  0.0000  0.0000  0.5000  6 N 2.00

Record 11
First-principles (PBE) data for a relaxed structure of TeMoWSeS2, as listed in the Materials Project database.

abc: 3.3061 3.3061 38.0832
angles: 90.00 90.00 120.00
Closest atoms and distances in Å follow each position.
Atoms (fractional coordinates):
W  0.3333  0.6667  0.6579  6 Se 2.55
W  0.0000  0.0000  0.0939  6 S 2.45
Te  0.3333  0.6667  0.4192  3 Mo 2.70
Te  0.3333  0.6667  0.5196  3 Mo 2.70
S  0.0000  0.0000  0.3218  3 Mo 2.44
S  0.3333  0.6667  0.1342  3 W 2.45
S  0.0000  0.0000  0.2416  3 Mo 2.44
S  0.3333  0.6667  0.0536  3 W 2.45
Mo  0.3333  0.6667  0.2817  6 S 2.44
Mo  0.0000  0.0000  0.4694  6 Te 2.70
Se  0.0000  0.0000  0.7023  3 W 2.55
Se  0.0000  0.0000  0.6136  3 W 2.55

Record 12
First-principles (PBE) data for a relaxed structure of K3Al2Si4O13, as listed in the Materials Project database.

abc: 10.1676 8.5275 15.4845
angles: 89.72 90.00 90.00
Closest atoms and distances in Å follow each position.
Atoms (fractional coordinates):
Si  0.8058  0.9453  0.3120  4 O 1.62-1.67
Si  0.6173  0.4402  0.1630  4 O 1.62-1.67
Si  0.2112  0.0632  0.9942  4 O 1.63-1.65
Si  0.6942  0.9453  0.8120  4 O 1.62-1.67
Si  0.3058  0.0547  0.1880  4 O 1.62-1.67
Si  0.7091  0.5638  0.5112  4 O 1.63-1.66
Si  0.2091  0.4362  0.9888  4 O 1.63-1.66
Si  0.2888  0.0632  0.4942  4 O 1.63-1.65
Si  0.7112  0.9368  0.5058  4 O 1.63-1.65
Si  0.1173  0.5598  0.3370  4 O 1.62-1.67
Si  0.7909  0.5638  0.0112  4 O 1.63-1.66
Si  0.1942  0.0547  0.6880  4 O 1.62-1.67
Si  0.7888  0.9368  0.0058  4 O 1.63-1.65
Si  0.8827  0.4402  0.6630  4 O 1.62-1.67
Si  0.3827  0.5598  0.8370  4 O 1.62-1.67
Si  0.2909  0.4362  0.4888  4 O 1.63-1.66
K  0.5572  0.2519  0.3988  7 O 2.83-3.06
K  0.0495  0.7538  0.8265  5 O 2.71-3.03
K  0.9486  0.2466  0.4479  7 O 2.78-3.03
K  0.5514  0.2466  0.9479  7 O 2.78-3.03
K  0.0514  0.7534  0.5521  7 O 2.78-3.03
K  0.4486  0.7534  0.0521  7 O 2.78-3.03
K  0.0572  0.7481  0.1012  7 O 2.83-3.06
K  0.4428  0.7481  0.6012  7 O 2.83-3.06
K  0.4505  0.7538  0.3265  5 O 2.71-3.03
K  0.5495  0.2462  0.6735  5 O 2.71-3.03
K  0.9505  0.2462  0.1735  5 O 2.71-3.03
K  0.9428  0.2519  0.8988  7 O 2.83-3.06
O  0.4126  0.9651  0.4543  1 Si 1.63
O  0.7436  0.4918  0.9192  1 Si 1.63, 1 Al 1.78
O  0.2871  0.2418  0.2003  1 Si 1.62, 1 Al 1.75
O  0.2762  0.5558  0.7596  1 Si 1.62, 1 Al 1.75
O  0.7762  0.4442  0.7404  1 Si 1.62, 1 Al 1.75
O  0.1011  0.7362  0.3755  1 Si 1.63, 1 Al 1.76
O  0.3416  0.0388  0.9344  1 Si 1.63, 1 Al 1.77
O  0.9587  0.0042  0.3080  1 Si 1.64, 1 Al 1.76
O  0.4184  0.5261  0.4472  1 Si 1.64
O  0.7469  0.0017  0.4078  2 Si 1.65-1.67
O  0.7564  0.4918  0.4192  1 Si 1.63, 1 Al 1.78
O  0.9755  0.4901  0.3061  1 Si 1.63, 1 Al 1.77
O  0.4755  0.5099  0.1939  1 Si 1.63, 1 Al 1.77
O  0.8335  0.5523  0.5802  2 Si 1.66-1.67
O  0.1584  0.0388  0.4344  1 Si 1.63, 1 Al 1.77
O  0.2436  0.5082  0.5808  1 Si 1.63, 1 Al 1.78
O  0.8989  0.2638  0.6245  1 Si 1.63, 1 Al 1.76
O  0.2250  0.9500  0.2575  1 Si 1.62, 1 Al 1.73
O  0.3260  0.2493  0.5011  2 Si 1.64
O  0.5413  0.0042  0.8080  1 Si 1.64, 1 Al 1.76
O  0.4587  0.9958  0.1920  1 Si 1.64, 1 Al 1.76
O  0.6740  0.7507  0.4989  2 Si 1.64
O  0.7238  0.4442  0.2404  1 Si 1.62, 1 Al 1.75
O  0.6665  0.5523  0.0802  2 Si 1.66-1.67
O  0.0413  0.9958  0.6920  1 Si 1.64, 1 Al 1.76
O  0.2531  0.9983  0.5922  2 Si 1.65-1.67
O  0.5245  0.4901  0.8061  1 Si 1.63, 1 Al 1.77
O  0.2750  0.9500  0.7575  1 Si 1.62, 1 Al 1.73
O  0.6584  0.9612  0.0656  1 Si 1.63, 1 Al 1.77
O  0.8416  0.9612  0.5656  1 Si 1.63, 1 Al 1.77
O  0.0816  0.5261  0.9472  1 Si 1.64
O  0.3335  0.4477  0.9198  2 Si 1.66-1.67
O  0.8260  0.7507  0.9989  2 Si 1.64
O  0.3989  0.7362  0.8755  1 Si 1.63, 1 Al 1.76
O  0.7129  0.7582  0.7997  1 Si 1.62, 1 Al 1.75
O  0.7250  0.0500  0.2425  1 Si 1.62, 1 Al 1.73
O  0.1740  0.2493  0.0011  2 Si 1.64
O  0.6011  0.2638  0.1245  1 Si 1.63, 1 Al 1.76
O  0.0245  0.5099  0.6939  1 Si 1.63, 1 Al 1.77
O  0.9184  0.4739  0.0528  1 Si 1.64
O  0.1665  0.4477  0.4198  2 Si 1.66-1.67
O  0.0874  0.9651  0.9543  1 Si 1.63
O  0.5874  0.0349  0.5457  1 Si 1.63
O  0.7750  0.0500  0.7425  1 Si 1.62, 1 Al 1.73
O  0.2469  0.9983  0.0922  2 Si 1.65-1.67
O  0.2238  0.5558  0.2596  1 Si 1.62, 1 Al 1.75
O  0.7871  0.7582  0.2997  1 Si 1.62, 1 Al 1.75
O  0.5816  0.4739  0.5528  1 Si 1.64
O  0.9126  0.0349  0.0457  1 Si 1.63
O  0.2129  0.2418  0.7003  1 Si 1.62, 1 Al 1.75
O  0.7531  0.0017  0.9078  2 Si 1.65-1.67
O  0.2564  0.5082  0.0808  1 Si 1.63, 1 Al 1.78
Al  0.6892  0.5565  0.8157  4 O 1.75-1.78
Al  0.1892  0.4435  0.6843  4 O 1.75-1.78
Al  0.6128  0.0677  0.1586  4 O 1.73-1.77
Al  0.1128  0.9323  0.3414  4 O 1.73-1.77
Al  0.3872  0.9323  0.8414  4 O 1.73-1.77
Al  0.8108  0.5565  0.3157  4 O 1.75-1.78
Al  0.8872  0.0677  0.6586  4 O 1.73-1.77
Al  0.3108  0.4435  0.1843  4 O 1.75-1.78

| no. | calculated formation energy (eV per atom) |
| --- | --- |
| 1 | -0.840 |
| 2 | -0.460 |
| 3 | -0.443 |
| 4 | -0.139 |
| 5 | -0.403 |
| 6 | 0.044 |
| 7 | 0.412 |
| 8 | -0.018 |
| 9 | -1.209 |
| 10 | 0.115 |
| 11 | -0.744 |
| 12 | -3.038 |